! Nb9Co4Ge (PBE-GGA, relaxed); values from VASP
&SYSTEM
  ibrav = 0, nat = 28, ntyp = 3
/
ATOMIC_SPECIES
Nb 92.91 Nb.upf
Co 58.93 Co.upf
Ge 72.64 Ge.upf
CELL_PARAMETERS angstrom
4.479 -4.225 7.465
-7.959 3.982 -3.798
-0.963 -8.257 -4.953
ATOMIC_POSITIONS angstrom
Nb -4.124 -2.245 -0.570
Nb -1.174 -1.795 -1.233
Nb -0.917 -8.754 -1.449
Nb -1.933 -2.564 1.489
Nb -2.510 -5.935 -2.775
Nb -0.087 -3.501 3.179
Nb -3.526 0.255 0.163
Nb -6.600 2.283 -2.621
Nb -4.861 -4.527 -1.420
Nb -0.319 -6.254 -0.716
Nb -3.269 -6.704 -0.053
Nb -6.051 -3.880 -6.000
Nb -4.357 -4.998 -4.466
Nb -5.331 -2.198 -3.459
Nb 0.417 -3.972 0.134
Nb 0.888 -6.301 2.173
Nb 2.157 -10.783 1.334
Nb 1.608 -4.619 4.713
Co -5.484 -0.035 -1.714
Co -1.633 -5.273 1.594
Co 2.239 -2.112 3.732
Co -2.810 -3.226 -2.881
Co 1.040 -8.465 0.428
Co -3.980 1.991 -1.899
Co -2.222 -4.250 -0.643
Co -0.482 -4.128 -2.476
Ge -2.610 -0.182 2.750
Ge -0.870 -0.061 0.917
! formation energy from the elements: -0.1777 eV per atom
! volume: 441 Å³/cell
! crystal system: tetragonal
! raw total energy: -9.033 eV per atom
! space-group type: I4/mcm (140)